1.
VASP calculation (GGA-PBE) on a relaxed YNi2P2 crystal.

Output
DFT formation energy: -1.01 eV per atom
Symmetry: No. 139

Cell lengths 3.8871, 3.8871, 9.4118 Å; angles 90.00, 90.00, 90.00 degrees
Closest atoms and distances in Å follow each position.
Atoms (fractional coordinates):
Y 0.0000 0.0000 0.0000  8 P 2.98, 8 Ni 3.05
Y 0.5000 0.5000 0.5000  8 P 2.98, 8 Ni 3.05
Ni 0.0000 0.5000 0.2500  4 P 2.28
Ni 0.0000 0.5000 0.7500  4 P 2.28
Ni 0.5000 0.0000 0.2500  4 P 2.28
Ni 0.5000 0.0000 0.7500  4 P 2.28
P 0.0000 0.0000 0.3767  4 Ni 2.28, 1 P 2.32
P 0.0000 0.0000 0.6233  4 Ni 2.28, 1 P 2.32
P 0.5000 0.5000 0.1233  4 Ni 2.28, 1 P 2.32
P 0.5000 0.5000 0.8767  4 Ni 2.28, 1 P 2.32

2.
VASP calculation (GGA-PBE) on a relaxed Na4CaZnP2SO12 crystal.

Output
DFT formation energy: -2.51 eV per atom
Symmetry: No. 1
Energy with MP2020 corrections: -6.4613 eV per atom

Cell lengths 9.2713, 9.2888, 22.5233 Å; angles 89.95, 89.85, 60.26 degrees
Closest atoms and distances in Å follow each position.
Atoms (fractional coordinates):
Na 0.0000 0.0000 0.0000  5 O 2.47-2.72
Na 0.0026 0.2669 0.4980  6 O 2.56-2.79
Na 0.0202 0.6196 0.7423  6 O 2.50-2.75
Na 0.0330 0.9151 0.3263  5 O 2.46-2.74
Na 0.0460 0.2818 0.8301  4 O 2.44-2.69
Na 0.2937 0.6578 0.8215  4 O 2.44-2.62
Na 0.3098 0.2997 0.3356  5 O 2.52-2.65
Na 0.3222 0.3401 0.6602  5 O 2.46-2.73
Na 0.3266 0.9776 0.9138  6 O 2.49-2.74
Na 0.3312 0.6078 0.1630  6 O 2.51-2.75
Na 0.3507 0.9519 0.4149  6 O 2.48-2.73
Na 0.3656 0.2497 0.9920  5 O 2.45-2.74
Na 0.3796 0.6214 0.4967  6 O 2.49-2.67
Na 0.6277 0.9946 0.4896  5 O 2.48-2.67
Na 0.6437 0.6338 0.0026  5 O 2.50-2.66
Na 0.6631 0.3086 0.5741  6 O 2.46-2.71
Na 0.6669 0.6675 0.3339  5 O 2.48-2.70
Na 0.6702 0.9436 0.8334  6 O 2.59-2.90
Na 0.6844 0.2853 0.0788  6 O 2.42-2.67
Na 0.7060 0.5880 0.6507  5 O 2.47-2.67
Na 0.7157 0.9459 0.1605  4 O 2.46-2.61
Na 0.9638 0.3299 0.1523  5 O 2.48-2.68
Na 0.9830 0.9557 0.6622  6 O 2.51-2.77
Na 0.9953 0.6434 0.2452  6 O 2.57-2.76
Ca 0.3277 0.9645 0.7555  6 O 2.21-2.39
Ca 0.3401 0.9523 0.2600  6 O 2.21-2.42
Ca 0.6672 0.2927 0.2307  6 O 2.24-2.38
Ca 0.6695 0.2919 0.7274  6 O 2.22-2.38
Ca 0.6736 0.2869 0.9282  6 O 2.19-2.39
Ca 0.9994 0.6264 0.9007  6 O 2.23-2.34
Zn 0.0026 0.6255 0.4028  5 O 2.04-2.21
Zn 0.0148 0.6041 0.5865  4 O 1.98-2.19
Zn 0.3328 0.9611 0.5651  4 O 2.03-2.25
Zn 0.3366 0.9581 0.0673  6 O 2.03-2.26
Zn 0.6436 0.3040 0.4243  3 O 1.97-2.10
Zn 0.9818 0.6378 0.0899  4 O 1.99-2.17
P 0.0107 0.3191 0.9997  4 O 1.54-1.56
P 0.0354 0.2671 0.6560  4 O 1.54-1.57
P 0.0367 0.9523 0.1576  4 O 1.55-1.57
P 0.3032 0.3245 0.4940  4 O 1.55-1.57
P 0.3279 0.6609 0.6556  4 O 1.55-1.57
P 0.3588 0.5955 0.3321  4 O 1.55-1.57
P 0.3608 0.2939 0.8282  4 O 1.55-1.56
P 0.6417 0.6587 0.1581  4 O 1.54-1.57
P 0.6769 0.9876 0.3330  4 O 1.55-1.57
P 0.6894 0.9312 0.9985  4 O 1.55-1.56
P 0.7051 0.6269 0.4947  4 O 1.56-1.57
P 0.9782 0.9835 0.8278  4 O 1.55-1.56
S 0.0020 0.9248 0.4952  4 O 1.49-1.50
S 0.3028 0.6314 0.9983  4 O 1.48-1.50
S 0.3305 0.2651 0.1592  4 O 1.48-1.50
S 0.6412 0.9534 0.6574  4 O 1.48-1.50
S 0.6680 0.6000 0.8280  4 O 1.48-1.49
S 0.9671 0.2981 0.3318  4 O 1.48-1.50
O 0.0143 0.4450 0.6519  1 P 1.57
O 0.0226 0.7908 0.1526  1 P 1.57
O 0.0233 0.8237 0.4411  1 S 1.49
O 0.0335 0.3926 0.9412  1 P 1.54
O 0.1277 0.1550 0.6019  1 P 1.55
O 0.1276 0.9755 0.1035  1 P 1.55
O 0.1329 0.1939 0.7140  1 P 1.54
O 0.1331 0.9326 0.2158  1 P 1.55
O 0.1369 0.1483 0.3286  1 S 1.50
O 0.1547 0.9413 0.4987  1 S 1.50
O 0.1557 0.9617 0.8270  1 P 1.56
O 0.1658 0.1416 0.0042  1 P 1.56
O 0.1660 0.6477 0.6505  1 P 1.57
O 0.1819 0.4341 0.1547  1 S 1.49
O 0.1831 0.4484 0.8290  1 P 1.56
O 0.1838 0.6098 0.3385  1 P 1.57
O 0.1935 0.4076 0.4385  1 P 1.55
O 0.2091 0.6485 0.9431  1 S 1.48
O 0.2162 0.6111 0.0505  1 S 1.49
O 0.2260 0.4338 0.5500  1 P 1.55
O 0.3083 0.7542 0.7147  1 P 1.55
O 0.3099 0.1887 0.2141  1 S 1.48
O 0.3192 0.7829 0.0021  1 S 1.49
O 0.3206 0.1481 0.4988  1 P 1.57
O 0.3379 0.7725 0.3300  1 P 1.56
O 0.3492 0.1610 0.1067  1 S 1.48
O 0.3506 0.1313 0.8272  1 P 1.56
O 0.3522 0.7534 0.6023  1 P 1.56
O 0.4346 0.4956 0.2743  1 P 1.55
O 0.4466 0.3116 0.7718  1 P 1.55
O 0.4597 0.2837 0.8848  1 P 1.55
O 0.4728 0.4821 0.9961  1 S 1.50
O 0.4741 0.5096 0.3861  1 P 1.56
O 0.4819 0.3037 0.4896  1 P 1.57
O 0.4836 0.2806 0.1615  1 S 1.50
O 0.4845 0.4839 0.6564  1 P 1.56
O 0.5140 0.9466 0.0042  1 P 1.56
O 0.5144 0.9755 0.3317  1 P 1.57
O 0.5191 0.7682 0.8248  1 S 1.49
O 0.5274 0.7841 0.4990  1 P 1.57
O 0.5318 0.7486 0.1034  1 P 1.55
O 0.5349 0.9727 0.6055  1 S 1.48
O 0.5658 0.7592 0.2154  1 P 1.54
O 0.5671 0.9332 0.7129  1 S 1.48
O 0.6505 0.5192 0.8820  1 S 1.48
O 0.6567 0.4837 0.1599  1 P 1.56
O 0.6576 0.1060 0.6594  1 S 1.50
O 0.6595 0.0982 0.3876  1 P 1.56
O 0.6688 0.1080 0.9973  1 P 1.56
O 0.6830 0.5012 0.7744  1 S 1.48
O 0.6896 0.4659 0.4906  1 P 1.57
O 0.7010 0.0623 0.2749  1 P 1.55
O 0.7637 0.8328 0.9404  1 P 1.55
O 0.7885 0.6530 0.4388  1 P 1.56
O 0.8057 0.8424 0.0518  1 P 1.55
O 0.8099 0.8046 0.6521  1 S 1.49
O 0.8113 0.6048 0.5512  1 P 1.56
O 0.8206 0.6150 0.8303  1 S 1.49
O 0.8205 0.6367 0.1543  1 P 1.57
O 0.8326 0.8100 0.3377  1 P 1.57
O 0.8482 0.3073 0.9994  1 P 1.56
O 0.8528 0.0939 0.4914  1 S 1.49
O 0.8594 0.1085 0.1589  1 P 1.56
O 0.8597 0.2827 0.6572  1 P 1.56
O 0.8729 0.3162 0.2764  1 S 1.49
O 0.8779 0.0695 0.7711  1 P 1.55
O 0.8811 0.2776 0.3841  1 S 1.48
O 0.8924 0.0878 0.8837  1 P 1.55
O 0.9796 0.8430 0.5488  1 S 1.49
O 0.9837 0.4499 0.3359  1 S 1.50
O 0.9909 0.8099 0.8297  1 P 1.56
O 0.9951 0.4305 0.0537  1 P 1.56

3.
VASP calculation (GGA-PBE) on a relaxed LiTeO3 crystal.

Output
DFT formation energy: -1.75 eV per atom
Symmetry: No. 34
Maximum piezoelectric response: 1.97 C/m²
Energy with MP2020 corrections: -5.7299 eV per atom

Cell lengths 5.1781, 5.3414, 8.9609 Å; angles 90.00, 90.00, 90.00 degrees
Closest atoms and distances in Å follow each position.
Atoms (fractional coordinates):
Li 0.0000 0.0000 0.0000  4 O 2.00-2.18
Li 0.0000 0.5000 0.3616  2 O 2.03
Li 0.5000 0.0000 0.8616  2 O 2.03
Li 0.5000 0.5000 0.5000  4 O 2.00-2.18
Te 0.0000 0.0000 0.5854  6 O 2.14-2.30
Te 0.0000 0.5000 0.7759  6 O 1.93-1.99
Te 0.5000 0.0000 0.2759  6 O 1.93-1.99
Te 0.5000 0.5000 0.0854  6 O 2.14-2.30
O 0.2051 0.3463 0.6122  2 Te 1.99-2.15, 1 Li 2.00
O 0.2079 0.8129 0.7587  2 Te 1.99-2.14, 1 Li 2.03
O 0.2106 0.3271 0.9207  1 Te 1.93
O 0.2894 0.8271 0.4207  1 Te 1.93
O 0.2921 0.3129 0.2587  2 Te 1.99-2.14, 1 Li 2.03
O 0.2949 0.8463 0.1122  2 Te 1.99-2.15, 1 Li 2.00
O 0.7051 0.1537 0.1122  2 Te 1.99-2.15, 1 Li 2.00
O 0.7079 0.6871 0.2587  2 Te 1.99-2.14, 1 Li 2.03
O 0.7106 0.1729 0.4207  1 Te 1.93
O 0.7894 0.6729 0.9207  1 Te 1.93
O 0.7921 0.1871 0.7587  2 Te 1.99-2.14, 1 Li 2.03
O 0.7949 0.6537 0.6122  2 Te 1.99-2.15, 1 Li 2.00

4.
VASP calculation (GGA-PBE) on a relaxed InTeI7 crystal.

Output
DFT formation energy: -0.58 eV per atom
Symmetry: No. 33
Energy with MP2020 corrections: -2.4252 eV per atom

Cell lengths 15.4326, 7.4937, 30.5201 Å; angles 90.00, 90.00, 90.00 degrees
Closest atoms and distances in Å follow each position.
Atoms (fractional coordinates):
In 0.1645 0.2045 0.0000  4 I 2.76-2.81
In 0.2385 0.3741 0.2402  4 I 2.76-2.80
In 0.2615 0.8741 0.7402  4 I 2.76-2.80
In 0.3355 0.7045 0.5000  4 I 2.76-2.81
In 0.6645 0.2955 0.0000  4 I 2.76-2.81
In 0.7385 0.1259 0.2402  4 I 2.76-2.80
In 0.7615 0.6259 0.7402  4 I 2.76-2.80
In 0.8355 0.7955 0.5000  4 I 2.76-2.81
Te 0.0964 0.1132 0.5912  3 I 2.75-2.79
Te 0.1234 0.9414 0.3234  3 I 2.77-2.79
Te 0.3766 0.4414 0.8234  3 I 2.77-2.79
Te 0.4036 0.6132 0.0912  3 I 2.75-2.79
Te 0.5964 0.3868 0.5912  3 I 2.75-2.79
Te 0.6234 0.5586 0.3234  3 I 2.77-2.79
Te 0.8766 0.0586 0.8234  3 I 2.77-2.79
Te 0.9036 0.8868 0.0912  3 I 2.75-2.79
I 0.0107 0.2726 0.6610  1 Te 2.78
I 0.0247 0.3247 0.5250  1 Te 2.79
I 0.0285 0.2352 0.8027  1 Te 2.77
I 0.0549 0.1586 0.3882  1 Te 2.77
I 0.0565 0.4009 0.9452  1 In 2.78
I 0.0692 0.2508 0.2374  1 In 2.77
I 0.0867 0.1762 0.0820  1 In 2.79
I 0.1713 0.7664 0.6666  1 In 2.76
I 0.1718 0.8632 0.5094  1 In 2.81
I 0.1915 0.7130 0.8143  1 In 2.78
I 0.2009 0.6900 0.3781  1 Te 2.79
I 0.2040 0.8959 0.9550  1 In 2.76
I 0.2360 0.7475 0.2398  1 In 2.80
I 0.2466 0.7854 0.0979  1 Te 2.75
I 0.2534 0.2854 0.5979  1 Te 2.75
I 0.2640 0.2475 0.7398  1 In 2.80
I 0.2960 0.3959 0.4550  1 In 2.76
I 0.2991 0.1900 0.8781  1 Te 2.79
I 0.3085 0.2130 0.3143  1 In 2.78
I 0.3282 0.3632 0.0094  1 In 2.81
I 0.3287 0.2664 0.1666  1 In 2.76
I 0.4133 0.6762 0.5820  1 In 2.79
I 0.4308 0.7508 0.7374  1 In 2.77
I 0.4435 0.9009 0.4452  1 In 2.78
I 0.4451 0.6586 0.8882  1 Te 2.77
I 0.4715 0.7352 0.3027  1 Te 2.77
I 0.4753 0.8247 0.0250  1 Te 2.79
I 0.4893 0.7726 0.1610  1 Te 2.78
I 0.5107 0.2274 0.6610  1 Te 2.78
I 0.5247 0.1753 0.5250  1 Te 2.79
I 0.5285 0.2648 0.8027  1 Te 2.77
I 0.5549 0.3414 0.3882  1 Te 2.77
I 0.5565 0.0991 0.9452  1 In 2.78
I 0.5692 0.2492 0.2374  1 In 2.77
I 0.5867 0.3238 0.0820  1 In 2.79
I 0.6713 0.7336 0.6666  1 In 2.76
I 0.6718 0.6368 0.5094  1 In 2.81
I 0.6915 0.7870 0.8143  1 In 2.78
I 0.7009 0.8100 0.3781  1 Te 2.79
I 0.7040 0.6041 0.9550  1 In 2.76
I 0.7360 0.7525 0.2398  1 In 2.80
I 0.7466 0.7146 0.0979  1 Te 2.75
I 0.7534 0.2146 0.5979  1 Te 2.75
I 0.7640 0.2525 0.7398  1 In 2.80
I 0.7960 0.1041 0.4550  1 In 2.76
I 0.7991 0.3100 0.8781  1 Te 2.79
I 0.8085 0.2870 0.3143  1 In 2.78
I 0.8282 0.1368 0.0094  1 In 2.81
I 0.8287 0.2336 0.1666  1 In 2.76
I 0.9133 0.8238 0.5820  1 In 2.79
I 0.9308 0.7492 0.7374  1 In 2.77
I 0.9435 0.5991 0.4452  1 In 2.78
I 0.9451 0.8414 0.8882  1 Te 2.77
I 0.9715 0.7648 0.3027  1 Te 2.77
I 0.9753 0.6753 0.0250  1 Te 2.79
I 0.9893 0.7274 0.1610  1 Te 2.78